Record 1
Computed, not measured: a relaxed structure of Sr2TaCrO6 at the PBE with a Hubbard U level of DFT.

Cell: 7.9935 7.9935 9.7900 Å, 114.09 114.09 90.00°
Closest atoms and distances in Å follow each position.
Element x y z (fractional)
O: 0.5009 0.7500 0.5000  1 Ta 1.99, 1 Cr 2.01
O: 0.2500 0.0009 0.5000  1 Ta 1.99, 1 Cr 2.01
Cr: 0.7500 0.2500 0.5000  6 O 2.01
Cr: 0.0000 0.0000 0.0000  6 O 2.01
O: 0.4991 0.2500 0.5000  1 Ta 1.99, 1 Cr 2.01
O: 0.7509 0.5000 0.0000  1 Ta 1.99, 1 Cr 2.01
O: 0.5000 0.2491 0.0000  1 Ta 1.99, 1 Cr 2.01
O: 0.3755 0.8755 0.7509  1 Ta 1.99, 1 Cr 2.01
Sr: 0.1250 0.6250 0.7500  12 O 2.83
Sr: 0.8750 0.8750 0.2500  12 O 2.83
O: 0.2509 0.0000 0.0000  1 Ta 1.99, 1 Cr 2.01
O: 0.6245 0.1245 0.2491  1 Ta 1.99, 1 Cr 2.01
Sr: 0.1250 0.1250 0.7500  12 O 2.83
O: 0.8755 0.3755 0.7509  1 Ta 1.99, 1 Cr 2.01
O: 0.3745 0.3745 0.7491  1 Ta 1.99, 1 Cr 2.01
O: 0.7500 0.9991 0.5000  1 Ta 1.99, 1 Cr 2.01
O: 0.1255 0.1255 0.2509  1 Ta 1.99, 1 Cr 2.01
Cr: 0.2500 0.7500 0.5000  6 O 2.01
O: 0.8745 0.8745 0.7491  1 Ta 1.99, 1 Cr 2.01
Sr: 0.3750 0.3750 0.2500  12 O 2.83
O: 0.7491 0.0000 0.0000  1 Ta 1.99, 1 Cr 2.01
Ta: 0.7500 0.7500 0.5000  6 O 1.99
O: 0.5000 0.7509 0.0000  1 Ta 1.99, 1 Cr 2.01
O: 0.9991 0.7500 0.5000  1 Ta 1.99, 1 Cr 2.01
O: 0.1245 0.6245 0.2491  1 Ta 1.99, 1 Cr 2.01
Sr: 0.6250 0.6250 0.7500  12 O 2.83
O: 0.7500 0.5009 0.5000  1 Ta 1.99, 1 Cr 2.01
O: 0.6255 0.6255 0.2509  1 Ta 1.99, 1 Cr 2.01
O: 0.2500 0.4991 0.5000  1 Ta 1.99, 1 Cr 2.01
Sr: 0.6250 0.1250 0.7500  12 O 2.83
O: 0.0000 0.7491 0.0000  1 Ta 1.99, 1 Cr 2.01
Ta: 0.0000 0.5000 0.0000  6 O 1.99
O: 0.0009 0.2500 0.5000  1 Ta 1.99, 1 Cr 2.01
Cr: 0.5000 0.5000 0.0000  6 O 2.01
O: 0.0000 0.2509 0.0000  1 Ta 1.99, 1 Cr 2.01
Sr: 0.8750 0.3750 0.2500  12 O 2.83
Ta: 0.5000 0.0000 0.0000  6 O 1.99
O: 0.2491 0.5000 0.0000  1 Ta 1.99, 1 Cr 2.01
Ta: 0.2500 0.2500 0.5000  6 O 1.99
Sr: 0.3750 0.8750 0.2500  12 O 2.83

Properties
ΔE_f ... -3223.6 meV per atom
Electronic total energy ... -322.77 eV per cell



Record 2
Computed, not measured: a relaxed structure of Li8Mn7NiP12O48 at the PBE with a Hubbard U level of DFT.

Cell: 8.5608 8.7776 11.9758 Å, 90.38 90.03 90.09°
Closest atoms and distances in Å follow each position.
Element x y z (fractional)
Li: 0.0000 0.0000 0.0000  4 O 1.92-2.01
Li: 0.0025 0.0535 0.6410  4 O 1.95-2.00
Li: 0.4317 0.4922 0.9995  4 O 1.94-2.00
Li: 0.4336 0.5497 0.6364  4 O 1.92-1.96
Li: 0.5004 0.0486 0.5004  4 O 1.89-1.99
Li: 0.5032 0.9924 0.1380  4 O 1.92-1.98
Li: 0.9327 0.5500 0.5007  4 O 1.93-1.99
Li: 0.9350 0.4926 0.1345  4 O 1.88-1.98
Mn: 0.4664 0.3062 0.2048  6 O 1.90-2.05
Mn: 0.4671 0.7353 0.4336  6 O 1.91-2.11
Mn: 0.4703 0.2357 0.7059  6 O 1.90-2.06
Mn: 0.4700 0.8080 0.9317  6 O 1.89-2.02
Mn: 0.9641 0.7349 0.7062  6 O 1.90-2.03
Mn: 0.9690 0.8094 0.2041  6 O 1.91-2.05
Mn: 0.9702 0.2364 0.4335  6 O 1.87-2.04
Ni: 0.9665 0.3082 0.9362  6 O 1.98-2.09
P: 0.1114 0.6679 0.9666  4 O 1.52-1.57
P: 0.1137 0.3793 0.6728  4 O 1.50-1.58
P: 0.1817 0.5205 0.3188  4 O 1.53-1.57
P: 0.2522 0.0250 0.3193  4 O 1.53-1.57
P: 0.3231 0.8769 0.6728  4 O 1.53-1.56
P: 0.3244 0.1611 0.9658  4 O 1.52-1.58
P: 0.6123 0.3749 0.4668  4 O 1.53-1.56
P: 0.6125 0.6649 0.1725  4 O 1.52-1.56
P: 0.6812 0.5233 0.8200  4 O 1.50-1.58
P: 0.7527 0.0194 0.8199  4 O 1.52-1.58
P: 0.8234 0.1675 0.1758  4 O 1.52-1.57
P: 0.8241 0.8794 0.4656  4 O 1.53-1.57
O: 0.0402 0.2603 0.5887  1 P 1.58
O: 0.0402 0.7927 0.0457  1 P 1.57
O: 0.0604 0.5437 0.6396  1 P 1.57
O: 0.0613 0.3305 0.7867  1 P 1.50
O: 0.0618 0.5086 0.0003  1 P 1.52
O: 0.0625 0.7130 0.8473  1 P 1.54
O: 0.0719 0.4322 0.4013  1 P 1.57
O: 0.0731 0.6070 0.2372  1 P 1.55
O: 0.1418 0.8748 0.6620  1 P 1.56
O: 0.1481 0.1614 0.9788  1 P 1.52
O: 0.1578 0.1341 0.3944  1 P 1.54
O: 0.1591 0.9150 0.2440  1 P 1.54
O: 0.2754 0.4120 0.2430  1 P 1.54
O: 0.2749 0.6286 0.3941  1 P 1.53
O: 0.2939 0.6728 0.9756  1 P 1.57
O: 0.2948 0.3764 0.6585  1 P 1.56
O: 0.3589 0.1111 0.2340  1 P 1.57
O: 0.3593 0.9415 0.4008  1 P 1.53
O: 0.3720 0.8341 0.7918  1 P 1.53
O: 0.3740 0.0394 0.6398  1 P 1.54
O: 0.3743 0.2102 0.8479  1 P 1.54
O: 0.3861 0.9993 0.9967  1 P 1.56
O: 0.3962 0.7563 0.5932  1 P 1.55
O: 0.4022 0.2827 0.0458  1 P 1.58
O: 0.5392 0.7850 0.0922  1 P 1.56
O: 0.5414 0.2521 0.5455  1 P 1.56
O: 0.5580 0.5019 0.1395  1 P 1.55
O: 0.5615 0.3328 0.3474  1 P 1.54
O: 0.5619 0.5350 0.5014  1 P 1.53
O: 0.5625 0.7105 0.2901  1 P 1.52
O: 0.5701 0.6149 0.9015  1 P 1.58
O: 0.5707 0.4389 0.7366  1 P 1.56
O: 0.6409 0.1654 0.1659  1 P 1.57
O: 0.6436 0.8773 0.4764  1 P 1.55
O: 0.6574 0.9090 0.8932  1 P 1.54
O: 0.6579 0.1247 0.7427  1 P 1.54
O: 0.7711 0.4186 0.8949  1 P 1.50
O: 0.7723 0.6318 0.7421  1 P 1.55
O: 0.7933 0.6674 0.1611  1 P 1.55
O: 0.7943 0.3731 0.4767  1 P 1.56
O: 0.8599 0.1049 0.9000  1 P 1.52
O: 0.8603 0.9297 0.7352  1 P 1.58
O: 0.8693 0.2018 0.2975  1 P 1.54
O: 0.8727 0.0036 0.1407  1 P 1.56
O: 0.8743 0.8331 0.3476  1 P 1.53
O: 0.8797 0.0420 0.4995  1 P 1.56
O: 0.8936 0.2876 0.1001  1 P 1.52
O: 0.8967 0.7581 0.5455  1 P 1.57

Properties
ΔE_f ... -2432.7 meV per atom
Space group ... P1, No. 1
Electronic total energy ... -525.34 eV per cell



Record 3
Computed, not measured: a relaxed structure of CsSbWO6 at the PBE with a Hubbard U level of DFT.

Cell: 7.4096 7.4096 7.4096 Å, 120.73 89.64 119.69°
Closest atoms and distances in Å follow each position.
Element x y z (fractional)
Cs: 0.1321 0.2500 0.3821  6 O 3.10-3.41
Cs: 0.8679 0.7500 0.6179  6 O 3.10-3.41
Sb: 0.4862 0.4862 0.0000  6 O 1.99-2.01
Sb: 0.4862 0.9862 0.5000  6 O 1.99-2.01
W: 0.4871 0.9869 0.0002  6 O 1.94-1.97
W: 0.9867 0.4869 0.9998  6 O 1.94-1.97
O: 0.1672 0.3568 0.9356  1 W 1.94, 1 Sb 2.01
O: 0.1672 0.7315 0.3104  1 W 1.94, 1 Sb 2.01
O: 0.1777 0.7359 0.9418  2 W 1.95-1.97
O: 0.4106 0.2341 0.6766  2 Sb 1.99
O: 0.4211 0.2315 0.0644  1 W 1.94, 1 Sb 2.01
O: 0.4211 0.8568 0.6896  1 W 1.94, 1 Sb 2.01
O: 0.5498 0.1157 0.3108  1 W 1.94, 1 Sb 2.01
O: 0.5498 0.7389 0.9340  1 W 1.94, 1 Sb 2.01
O: 0.5575 0.7341 0.3234  2 Sb 1.99
O: 0.7941 0.2359 0.0582  2 W 1.95-1.97
O: 0.8049 0.2389 0.6892  1 W 1.94, 1 Sb 2.01
O: 0.8049 0.6157 0.0660  1 W 1.94, 1 Sb 2.01

Properties
ΔE_f ... -2174.1 meV per atom
Space group ... Ima2, No. 46
Electronic total energy ... -117.35 eV per cell



Record 4
Computed, not measured: a relaxed structure of FeC6O6 at the PBE with a Hubbard U level of DFT.

Cell: 6.1982 6.1982 11.1090 Å, 95.14 95.14 130.42°
Closest atoms and distances in Å follow each position.
Element x y z (fractional)
Fe: 0.0000 0.0000 0.0000  2 O 1.91
C: 0.1235 0.6354 0.0000  2 C 1.25-1.35
C: 0.2552 0.2552 0.5118  2 O 1.18
C: 0.3646 0.8765 0.0000  2 C 1.25-1.35
C: 0.6354 0.1235 0.0000  2 C 1.25-1.35
C: 0.7448 0.7448 0.4882  2 O 1.18
C: 0.8765 0.3646 0.0000  2 C 1.25-1.35
O: 0.1509 0.3597 0.5115  1 C 1.18
O: 0.3597 0.1509 0.5115  1 C 1.18
O: 0.3672 0.3672 0.9991  1 O 1.38
O: 0.6328 0.6328 0.0009  1 O 1.38
O: 0.6403 0.8491 0.4885  1 C 1.18
O: 0.8491 0.6403 0.4885  1 C 1.18

Properties
ΔE_f ... -185.2 meV per atom
Space group ... C2/m, No. 12
Electronic total energy ... -92.71 eV per cell



Record 5
Computed, not measured: a relaxed structure of NaLiFePO4F at the PBE with a Hubbard U level of DFT.

Cell: 11.1634 6.4233 11.5624 Å, 90.00 90.00 90.00°
Closest atoms and distances in Å follow each position.
Element x y z (fractional)
Na: 0.2227 0.0054 0.1571  4 O 2.26-2.48, 1 F 2.38
Na: 0.2227 0.4946 0.1571  4 O 2.26-2.48, 1 F 2.38
Na: 0.2773 0.5054 0.6571  4 O 2.26-2.48, 1 F 2.38
Na: 0.2773 0.9946 0.6571  4 O 2.26-2.48, 1 F 2.38
Na: 0.7227 0.0054 0.3429  4 O 2.26-2.48, 1 F 2.38
Na: 0.7227 0.4946 0.3429  4 O 2.26-2.48, 1 F 2.38
Na: 0.7773 0.5054 0.8429  4 O 2.26-2.48, 1 F 2.38
Na: 0.7773 0.9946 0.8429  4 O 2.26-2.48, 1 F 2.38
Li: 0.0557 0.7500 0.7694  1 F 1.88, 1 O 2.03
Li: 0.2305 0.7500 0.4137  3 O 2.02-2.10, 1 F 2.06
Li: 0.2695 0.2500 0.9137  3 O 2.02-2.10, 1 F 2.06
Li: 0.4443 0.2500 0.2694  1 F 1.88, 1 O 2.03
Li: 0.5557 0.7500 0.7306  1 F 1.88, 1 O 2.03
Li: 0.7305 0.7500 0.0863  3 O 2.02-2.10, 1 F 2.06
Li: 0.7695 0.2500 0.5863  3 O 2.02-2.10, 1 F 2.06
Li: 0.9443 0.2500 0.2306  1 F 1.88, 1 O 2.03
Fe: 0.0000 0.0000 0.0000  4 O 2.10-2.15, 2 F 2.20
Fe: 0.0000 0.0000 0.5000  4 O 2.08-2.22, 2 F 2.14
Fe: 0.0000 0.5000 0.0000  4 O 2.10-2.15, 2 F 2.20
Fe: 0.0000 0.5000 0.5000  4 O 2.08-2.22, 2 F 2.14
Fe: 0.5000 0.0000 0.0000  4 O 2.08-2.22, 2 F 2.14
Fe: 0.5000 0.0000 0.5000  4 O 2.10-2.15, 2 F 2.20
Fe: 0.5000 0.5000 0.0000  4 O 2.08-2.22, 2 F 2.14
Fe: 0.5000 0.5000 0.5000  4 O 2.10-2.15, 2 F 2.20
P: 0.0419 0.2500 0.7588  4 O 1.54-1.57
P: 0.2461 0.2500 0.4231  4 O 1.53-1.58
P: 0.2539 0.7500 0.9231  4 O 1.53-1.58
P: 0.4581 0.7500 0.2588  4 O 1.54-1.57
P: 0.5419 0.2500 0.7412  4 O 1.54-1.57
P: 0.7461 0.2500 0.0769  4 O 1.53-1.58
P: 0.7539 0.7500 0.5769  4 O 1.53-1.58
P: 0.9581 0.7500 0.2412  4 O 1.54-1.57
O: 0.0069 0.5493 0.1791  1 P 1.57
O: 0.0068 0.7500 0.3678  1 P 1.56
O: 0.0069 0.9507 0.1791  1 P 1.57
O: 0.1268 0.7500 0.9827  1 P 1.58
O: 0.1803 0.2500 0.7621  1 P 1.54
O: 0.1807 0.0505 0.4662  1 P 1.56
O: 0.1807 0.4495 0.4662  1 P 1.56
O: 0.2364 0.7500 0.7919  1 P 1.53
O: 0.2636 0.2500 0.2919  1 P 1.53
O: 0.3193 0.5505 0.9662  1 P 1.56
O: 0.3193 0.9495 0.9662  1 P 1.56
O: 0.3197 0.7500 0.2621  1 P 1.54
O: 0.3732 0.2500 0.4827  1 P 1.58
O: 0.4931 0.0493 0.6791  1 P 1.57
O: 0.4932 0.2500 0.8678  1 P 1.56
O: 0.4931 0.4507 0.6791  1 P 1.57
O: 0.5069 0.5493 0.3209  1 P 1.57
O: 0.5068 0.7500 0.1322  1 P 1.56
O: 0.5069 0.9507 0.3209  1 P 1.57
O: 0.6268 0.7500 0.5173  1 P 1.58
O: 0.6803 0.2500 0.7379  1 P 1.54
O: 0.6807 0.0505 0.0338  1 P 1.56
O: 0.6807 0.4495 0.0338  1 P 1.56
O: 0.7364 0.7500 0.7081  1 P 1.53
O: 0.7636 0.2500 0.2081  1 P 1.53
O: 0.8193 0.5505 0.5338  1 P 1.56
O: 0.8193 0.9495 0.5338  1 P 1.56
O: 0.8197 0.7500 0.2379  1 P 1.54
O: 0.8732 0.2500 0.0173  1 P 1.58
O: 0.9931 0.0493 0.8209  1 P 1.57
O: 0.9932 0.2500 0.6322  1 P 1.56
O: 0.9931 0.4507 0.8209  1 P 1.57
F: 0.0624 0.7500 0.6071  1 Li 1.88
F: 0.1304 0.2500 0.0304  1 Li 2.06, 2 Fe 2.20
F: 0.3696 0.7500 0.5304  1 Li 2.06, 2 Fe 2.20
F: 0.4376 0.2500 0.1071  1 Li 1.88
F: 0.5624 0.7500 0.8929  1 Li 1.88
F: 0.6304 0.2500 0.4696  1 Li 2.06, 2 Fe 2.20
F: 0.8696 0.7500 0.9696  1 Li 2.06, 2 Fe 2.20
F: 0.9376 0.2500 0.3929  1 Li 1.88

Properties
ΔE_f ... -2577.4 meV per atom
Space group ... Pnma, No. 62
Electronic total energy ... -452.42 eV per cell



Record 6
Computed, not measured: a relaxed structure of NiS2O12 at the PBE with a Hubbard U level of DFT.

Cell: 6.2892 6.9920 7.9196 Å, 73.26 70.58 88.76°
Closest atoms and distances in Å follow each position.
Element x y z (fractional)
Ni: 0.0000 0.0000 0.0000  6 O 1.74-1.93
S: 0.4849 0.4259 0.3041  3 O 1.43-1.44
S: 0.5151 0.5741 0.6959  3 O 1.43-1.44
O: 0.0205 0.9374 0.7745  1 O 1.30
O: 0.0574 0.7530 0.0836  1 Ni 1.74
O: 0.1919 0.0657 0.1254  1 O 1.30
O: 0.2919 0.6036 0.6853  1 S 1.44
O: 0.3098 0.2649 0.4009  1 S 1.44
O: 0.4376 0.6169 0.2007  1 S 1.43
O: 0.5624 0.3831 0.7993  1 S 1.43
O: 0.6902 0.7351 0.5991  1 S 1.44
O: 0.7081 0.3964 0.3147  1 S 1.44
O: 0.8081 0.9343 0.8746  1 O 1.30
O: 0.9426 0.2470 0.9164  1 Ni 1.74
O: 0.9795 0.0626 0.2255  1 O 1.30

Properties
ΔE_f ... -367.3 meV per atom
Space group ... P-1, No. 2
Electronic total energy ... -74.46 eV per cell